The following is a PBE-GGA calculation of crystalline AlSbO3 at its relaxed geometry, from the Materials Project database.

Summary:
corrected total energy (MP2020 scheme)	-7.07	eV per atom
spin magnetization	0.0	μB per formula unit
V	81.19	Å³/f.u.
symmetry	P1
ΔE_f	-2.527	eV/atom

```
data_AlSbO3
_chemical_formula_sum 'Al4 Sb4 O12'
_cell_length_a 5.503
_cell_length_b 5.118
_cell_length_c 11.530
_cell_angle_alpha 90.04
_cell_angle_beta 89.92
_cell_angle_gamma 90.08
_space_group_name_H-M_alt 'P 1'
_space_group_IT_number 1
_space_group_name_Hall 'P 1'
loop_
_atom_site_label
_atom_site_fract_x
_atom_site_fract_y
_atom_site_fract_z
_atom_site_occupancy
O1 0.944 0.153 0.601 1
O2 0.338 0.523 0.663 1
O3 0.864 0.975 0.337 1
O4 0.359 0.834 0.299 1
O5 0.058 0.847 0.102 1
O6 0.135 0.024 0.837 1
O7 0.662 0.477 0.164 1
O8 0.834 0.666 0.700 1
O9 0.474 0.349 0.399 1
O10 0.526 0.652 0.898 1
O11 0.640 0.166 0.798 1
O12 0.166 0.334 0.202 1
Sb1 0.581 0.992 0.435 1
Sb2 0.945 0.490 0.067 1
Sb3 0.418 0.009 0.934 1
Sb4 0.057 0.510 0.566 1
Al1 0.902 0.002 0.738 1
Al2 0.428 0.499 0.263 1
Al3 0.572 0.502 0.762 1
Al4 0.098 0.997 0.239 1
```

The following is a PBE-GGA calculation of crystalline NdLuS3 at its relaxed geometry, from the Materials Project database.

Summary:
corrected total energy (MP2020 scheme)	-6.71	eV per atom
V	115.64	Å³/f.u.
symmetry	Cmcm
ΔE_f	-2.375	eV/atom

```
data_NdLuS3
_chemical_formula_sum 'Nd2 Lu2 S6'
_cell_length_a 6.584
_cell_length_b 6.584
_cell_length_c 9.472
_cell_angle_alpha 90.00
_cell_angle_beta 90.00
_cell_angle_gamma 145.72
_space_group_name_H-M_alt 'P 1'
_space_group_IT_number 1
_space_group_name_Hall 'P 1'
loop_
_atom_site_label
_atom_site_fract_x
_atom_site_fract_y
_atom_site_fract_z
_atom_site_occupancy
Nd1 0.253 0.747 0.750 1
Nd2 0.747 0.253 0.250 1
S1 0.358 0.642 0.437 1
S2 0.642 0.358 0.937 1
S3 0.358 0.642 0.063 1
S4 0.087 0.913 0.250 1
S5 0.913 0.087 0.750 1
S6 0.642 0.358 0.563 1
Lu1 0.000 0.000 0.000 1
Lu2 0.000 0.000 0.500 1
```

The following is a PBE-GGA calculation of crystalline ZnCuC4O12 at its relaxed geometry, from the Materials Project database.

Summary:
corrected total energy (MP2020 scheme)	-6.66	eV per atom
spin magnetization	1.0	μB per formula unit
V	347.15	Å³/f.u.
symmetry	P2_1/c
ΔE_f	-1.016	eV/atom

```
data_ZnCuC4O12
_chemical_formula_sum 'Zn2 Cu2 C8 O24'
_cell_length_a 8.144
_cell_length_b 9.228
_cell_length_c 9.241
_cell_angle_alpha 88.64
_cell_angle_beta 90.00
_cell_angle_gamma 90.00
_space_group_name_H-M_alt 'P 1'
_space_group_IT_number 1
_space_group_name_Hall 'P 1'
loop_
_atom_site_label
_atom_site_fract_x
_atom_site_fract_y
_atom_site_fract_z
_atom_site_occupancy
Zn1 0.000 0.500 0.500 1
Zn2 0.500 0.000 0.500 1
C1 0.313 0.808 0.893 1
C2 0.160 0.046 0.325 1
C3 0.340 0.546 0.325 1
C4 0.840 0.954 0.675 1
C5 0.660 0.454 0.675 1
C6 0.187 0.308 0.893 1
C7 0.813 0.692 0.107 1
C8 0.687 0.192 0.107 1
O1 0.408 0.714 0.916 1
O2 0.829 0.910 0.558 1
O3 0.495 0.995 0.296 1
O4 0.005 0.495 0.296 1
O5 0.789 0.102 0.104 1
O6 0.711 0.602 0.104 1
O7 0.425 0.869 0.657 1
O8 0.575 0.131 0.343 1
O9 0.908 0.786 0.084 1
O10 0.211 0.898 0.896 1
O11 0.139 0.003 0.207 1
O12 0.361 0.503 0.207 1
O13 0.639 0.497 0.793 1
O14 0.861 0.997 0.793 1
O15 0.289 0.398 0.896 1
O16 0.505 0.005 0.704 1
O17 0.671 0.410 0.558 1
O18 0.075 0.369 0.657 1
O19 0.171 0.090 0.442 1
O20 0.592 0.286 0.084 1
O21 0.925 0.631 0.343 1
O22 0.329 0.590 0.442 1
O23 0.092 0.214 0.916 1
O24 0.995 0.505 0.704 1
Cu1 0.500 0.500 0.000 1
Cu2 0.000 0.000 0.000 1
```

The following is a PBE-GGA calculation of crystalline Li2Ti13O22 at its relaxed geometry, from the Materials Project database.

Summary:
corrected total energy (MP2020 scheme)	-9.06	eV per atom
spin magnetization	0.0	μB per formula unit
V	410.67	Å³/f.u.
symmetry	Cmce
ΔE_f	-3.239	eV/atom

```
data_Li2Ti13O22
_chemical_formula_sum 'Li4 Ti26 O44'
_cell_length_a 7.680
_cell_length_b 7.680
_cell_length_c 14.057
_cell_angle_alpha 90.00
_cell_angle_beta 90.00
_cell_angle_gamma 97.84
_space_group_name_H-M_alt 'P 1'
_space_group_IT_number 1
_space_group_name_Hall 'P 1'
loop_
_atom_site_label
_atom_site_fract_x
_atom_site_fract_y
_atom_site_fract_z
_atom_site_occupancy
Ti1 0.426 0.933 0.151 1
Ti2 0.074 0.567 0.651 1
Ti3 0.799 0.057 0.178 1
Ti4 0.162 0.162 0.339 1
Ti5 0.838 0.838 0.661 1
Ti6 0.338 0.338 0.839 1
Ti7 0.662 0.662 0.161 1
Ti8 0.067 0.574 0.849 1
Ti9 0.057 0.799 0.178 1
Ti10 0.943 0.201 0.822 1
Ti11 0.701 0.443 0.678 1
Ti12 0.762 0.238 0.500 1
Ti13 0.500 0.500 0.500 1
Ti14 0.567 0.074 0.651 1
Ti15 0.000 0.000 0.000 1
Ti16 0.262 0.738 0.000 1
Ti17 0.926 0.433 0.349 1
Ti18 0.574 0.067 0.849 1
Ti19 0.433 0.926 0.349 1
Ti20 0.238 0.762 0.500 1
Ti21 0.201 0.943 0.822 1
Ti22 0.443 0.701 0.678 1
Ti23 0.557 0.299 0.322 1
Ti24 0.738 0.262 0.000 1
Ti25 0.299 0.557 0.322 1
Ti26 0.933 0.426 0.151 1
O1 0.775 0.275 0.250 1
O2 0.398 0.901 0.591 1
O3 0.789 0.037 0.920 1
O4 0.275 0.775 0.250 1
O5 0.037 0.789 0.920 1
O6 0.102 0.599 0.091 1
O7 0.882 0.624 0.246 1
O8 0.618 0.876 0.746 1
O9 0.901 0.398 0.591 1
O10 0.624 0.882 0.246 1
O11 0.963 0.211 0.080 1
O12 0.118 0.376 0.754 1
O13 0.844 0.844 0.096 1
O14 0.099 0.602 0.409 1
O15 0.602 0.099 0.409 1
O16 0.711 0.463 0.420 1
O17 0.211 0.963 0.080 1
O18 0.463 0.711 0.420 1
O19 0.282 0.525 0.921 1
O20 0.503 0.503 0.245 1
O21 0.382 0.124 0.254 1
O22 0.997 0.997 0.745 1
O23 0.475 0.718 0.079 1
O24 0.525 0.282 0.921 1
O25 0.599 0.102 0.091 1
O26 0.344 0.344 0.404 1
O27 0.656 0.656 0.596 1
O28 0.725 0.225 0.750 1
O29 0.782 0.025 0.579 1
O30 0.975 0.218 0.421 1
O31 0.718 0.475 0.079 1
O32 0.156 0.156 0.904 1
O33 0.537 0.289 0.580 1
O34 0.376 0.118 0.754 1
O35 0.876 0.618 0.746 1
O36 0.497 0.497 0.755 1
O37 0.225 0.725 0.750 1
O38 0.289 0.537 0.580 1
O39 0.218 0.975 0.421 1
O40 0.401 0.898 0.909 1
O41 0.025 0.782 0.579 1
O42 0.898 0.401 0.909 1
O43 0.124 0.382 0.254 1
O44 0.003 0.003 0.255 1
Li1 0.166 0.166 0.587 1
Li2 0.666 0.666 0.913 1
Li3 0.834 0.834 0.413 1
Li4 0.334 0.334 0.087 1
```

The following is a PBE-GGA calculation of crystalline K2LaBr5 at its relaxed geometry, from the Materials Project database.

Summary:
corrected total energy (MP2020 scheme)	-4.18	eV per atom
V	278.17	Å³/f.u.
symmetry	Pnma
ΔE_f	-2.259	eV/atom

```
data_K2LaBr5
_chemical_formula_sum 'K8 La4 Br20'
_cell_length_a 8.655
_cell_length_b 9.367
_cell_length_c 13.725
_cell_angle_alpha 90.00
_cell_angle_beta 90.00
_cell_angle_gamma 90.00
_space_group_name_H-M_alt 'P 1'
_space_group_IT_number 1
_space_group_name_Hall 'P 1'
loop_
_atom_site_label
_atom_site_fract_x
_atom_site_fract_y
_atom_site_fract_z
_atom_site_occupancy
Br1 0.835 0.457 0.578 1
Br2 0.926 0.750 0.007 1
Br3 0.335 0.957 0.922 1
Br4 0.165 0.543 0.422 1
Br5 0.665 0.043 0.078 1
Br6 0.426 0.250 0.493 1
Br7 0.574 0.750 0.507 1
Br8 0.165 0.957 0.422 1
Br9 0.627 0.250 0.819 1
Br10 0.835 0.750 0.295 1
Br11 0.665 0.750 0.795 1
Br12 0.335 0.250 0.205 1
Br13 0.873 0.250 0.319 1
Br14 0.127 0.750 0.681 1
Br15 0.074 0.250 0.993 1
Br16 0.373 0.750 0.181 1
Br17 0.335 0.543 0.922 1
Br18 0.835 0.043 0.578 1
Br19 0.165 0.250 0.705 1
Br20 0.665 0.457 0.078 1
La1 0.924 0.750 0.506 1
La2 0.576 0.750 0.006 1
La3 0.076 0.250 0.494 1
La4 0.424 0.250 0.994 1
K1 0.450 0.505 0.671 1
K2 0.950 0.005 0.829 1
K3 0.950 0.495 0.829 1
K4 0.050 0.505 0.171 1
K5 0.550 0.495 0.329 1
K6 0.450 0.995 0.671 1
K7 0.550 0.005 0.329 1
K8 0.050 0.995 0.171 1
```

The following is a PBE-GGA calculation of crystalline Re3Br9O2 at its relaxed geometry, from the Materials Project database.

Summary:
corrected total energy (MP2020 scheme)	-4.53	eV per atom
spin magnetization	0.0	μB per formula unit
V	404.27	Å³/f.u.
symmetry	C2/m
ΔE_f	-0.106	eV/atom

```
data_Re3Br9O2
_chemical_formula_sum 'Re6 Br18 O4'
_cell_length_a 8.958
_cell_length_b 8.958
_cell_length_c 10.512
_cell_angle_alpha 85.78
_cell_angle_beta 85.78
_cell_angle_gamma 74.27
_space_group_name_H-M_alt 'P 1'
_space_group_IT_number 1
_space_group_name_Hall 'P 1'
loop_
_atom_site_label
_atom_site_fract_x
_atom_site_fract_y
_atom_site_fract_z
_atom_site_occupancy
O1 0.155 0.155 0.022 1
O2 0.845 0.845 0.978 1
O3 0.167 0.833 0.000 1
O4 0.833 0.167 0.000 1
Br1 0.994 0.460 0.190 1
Br2 0.998 0.315 0.512 1
Br3 0.540 0.006 0.810 1
Br4 0.385 0.702 0.738 1
Br5 0.056 0.056 0.282 1
Br6 0.685 0.002 0.488 1
Br7 0.636 0.636 0.982 1
Br8 0.615 0.298 0.262 1
Br9 0.006 0.540 0.810 1
Br10 0.315 0.998 0.512 1
Br11 0.364 0.364 0.018 1
Br12 0.630 0.630 0.450 1
Br13 0.370 0.370 0.550 1
Br14 0.702 0.385 0.738 1
Br15 0.298 0.615 0.262 1
Br16 0.460 0.994 0.190 1
Br17 0.002 0.685 0.488 1
Br18 0.944 0.944 0.718 1
Re1 0.787 0.787 0.838 1
Re2 0.213 0.213 0.162 1
Re3 0.810 0.587 0.636 1
Re4 0.190 0.413 0.364 1
Re5 0.413 0.190 0.364 1
Re6 0.587 0.810 0.636 1
```